[1]
# Nd5Cu5O13 PBE optimized geometry
# **Energy above the lowest structure with this stoichiometry**: 4.1 meV per atom
# **Spin magnetization**: 0.020 μB/f.u.
# **Space-group type**: P2/m
data_Nd5Cu5O13
_symmetry_space_group_name_H-M 'P 1'
_symmetry_Int_Tables_number 1
_symmetry_space_group_name_Hall 'P 1'
_cell_length_a 8.458
_cell_length_b 3.842
_cell_length_c 8.503
_cell_angle_alpha 90.00
_cell_angle_beta 90.28
_cell_angle_gamma 90.00
loop_
_atom_site_label
_atom_site_fract_x
_atom_site_fract_y
_atom_site_fract_z
Cu1 0.429 0.000 0.834
Cu2 0.841 0.000 0.573
O1 0.570 0.500 0.185
O2 0.000 0.500 0.000
Nd1 0.500 0.500 0.500
O3 0.239 0.000 0.953
Nd2 0.267 0.500 0.146
O4 0.829 0.500 0.575
O5 0.761 0.000 0.047
O6 0.171 0.500 0.425
Cu3 0.159 0.000 0.427
Nd3 0.733 0.500 0.854
O7 0.430 0.500 0.815
Nd4 0.857 0.500 0.270
Cu4 0.000 0.000 0.000
O8 0.611 0.000 0.703
O9 0.389 0.000 0.297
O10 0.287 0.000 0.611
Cu5 0.571 0.000 0.166
O11 0.950 0.000 0.768
Nd5 0.143 0.500 0.730
O12 0.050 0.000 0.232
O13 0.713 0.000 0.389

[2]
# LiMg2 PBE optimized geometry
# **Space-group type**: Cmcm
data_LiMg2
_symmetry_space_group_name_H-M 'P 1'
_symmetry_Int_Tables_number 1
_symmetry_space_group_name_Hall 'P 1'
_cell_length_a 5.365
_cell_length_b 5.365
_cell_length_c 5.115
_cell_angle_alpha 90.00
_cell_angle_beta 90.00
_cell_angle_gamma 118.26
loop_
_atom_site_label
_atom_site_fract_x
_atom_site_fract_y
_atom_site_fract_z
Mg1 0.333 0.002 0.750
Li1 0.665 0.665 0.750
Li2 0.335 0.335 0.250
Mg2 0.667 0.998 0.250
Mg3 0.998 0.667 0.250
Mg4 0.002 0.333 0.750

[3]
# Na6Ti7ZnSi6S6O48 PBE optimized geometry
# **Spin magnetization**: 0.000 μB/f.u.
# **Space-group type**: P1
data_Na6Ti7ZnSi6S6O48
_symmetry_space_group_name_H-M 'P 1'
_symmetry_Int_Tables_number 1
_symmetry_space_group_name_Hall 'P 1'
_cell_length_a 17.572
_cell_length_b 8.757
_cell_length_c 22.460
_cell_angle_alpha 89.93
_cell_angle_beta 90.11
_cell_angle_gamma 119.92
loop_
_atom_site_label
_atom_site_fract_x
_atom_site_fract_y
_atom_site_fract_z
O1 0.751 0.149 0.927
O2 0.432 0.498 0.142
Si1 0.524 0.670 0.414
O3 0.426 0.492 0.428
O4 0.414 0.026 0.090
O5 0.649 0.468 0.475
O6 0.741 0.307 0.746
Si2 0.648 0.296 0.751
O7 0.414 0.802 0.585
S1 0.978 0.623 0.083
O8 0.435 0.363 0.924
O9 0.180 0.515 0.076
O10 0.070 0.493 0.577
O11 0.269 0.699 0.255
O12 0.084 0.470 0.974
O13 0.583 0.703 0.474
O14 0.010 0.184 0.912
O15 0.898 0.819 0.912
O16 0.487 0.806 0.809
O17 0.097 0.166 0.808
Ti1 0.162 0.661 0.315
O18 0.251 0.361 0.141
O19 0.399 0.823 0.196
Na1 0.333 0.331 0.329
O20 0.066 0.498 0.856
Si3 0.146 0.296 0.750
O21 0.078 0.968 0.910
Si4 0.355 0.992 0.752
Ti2 0.336 0.350 0.476
S2 0.357 0.715 0.251
O22 0.507 0.835 0.405
O23 0.757 0.693 0.254
S3 0.688 0.335 0.082
O24 0.410 0.795 0.304
O25 0.816 0.118 0.137
Na2 0.332 0.337 0.829
Na3 0.686 0.008 0.748
O26 0.913 0.028 0.086
Na4 0.670 0.663 0.664
Si5 0.858 0.000 0.752
O27 0.767 0.689 0.972
O28 0.754 0.863 0.074
S4 0.833 0.043 0.083
Na5 0.494 0.361 0.749
Na6 0.665 0.669 0.170
O29 0.269 0.690 0.971
O30 0.256 0.817 0.757
Ti3 0.005 0.994 0.150
Si6 0.474 0.620 0.084
O31 0.921 0.025 0.808
O32 0.850 0.174 0.745
O33 0.588 0.974 0.195
Zn1 0.834 0.338 0.184
O34 0.489 0.820 0.093
O35 0.254 0.357 0.428
O36 0.146 0.481 0.756
O37 0.256 0.877 0.363
O38 0.926 0.490 0.426
S5 0.642 0.996 0.250
Si7 0.854 0.715 0.250
O39 0.079 0.188 0.410
O40 0.846 0.539 0.530
S6 0.979 0.335 0.584
O41 0.579 0.467 0.971
Na7 0.997 0.364 0.752
O42 0.014 0.838 0.413
O43 0.756 0.633 0.864
O44 0.347 0.538 0.245
Ti4 0.666 0.670 0.512
O45 0.397 0.970 0.411
O46 0.922 0.533 0.031
Na8 0.503 0.000 0.500
O47 0.487 0.170 0.585
O48 0.398 0.827 0.913
Zn2 0.827 0.329 0.685
O49 0.733 0.153 0.531
O50 0.905 0.838 0.190
O51 0.317 0.520 0.636
Zn3 0.333 0.337 0.689
O52 0.845 0.518 0.245
Ti5 0.997 0.008 0.650
O53 0.257 0.153 0.925
Ti6 0.324 0.332 0.983
O54 0.653 0.831 0.974
O55 0.737 0.361 0.139
O56 0.255 0.651 0.574
Ti7 0.500 0.002 0.146
O57 0.944 0.524 0.139
O58 0.944 0.363 0.639
O59 0.522 0.844 0.693
O60 0.563 0.485 0.863
Si8 0.497 0.709 0.750
Ti8 0.160 0.655 0.018
Ti9 0.670 0.681 0.808
Si9 0.666 0.380 0.417
Si10 0.149 0.005 0.253
O61 0.513 0.183 0.193
O62 0.442 0.358 0.638
O63 0.423 0.312 0.530
O64 0.987 0.795 0.804
O65 0.760 0.825 0.756
O66 0.419 0.027 0.809
O67 0.178 0.860 0.575
O68 0.068 0.634 0.358
Ti10 0.334 0.340 0.187
O69 0.729 0.157 0.244
O70 0.577 0.976 0.913
S7 0.809 0.666 0.918
O71 0.844 0.156 0.029
O72 0.579 0.183 0.409
Si11 0.186 0.335 0.086
O73 0.589 0.699 0.758
O74 0.349 0.154 0.030
O75 0.601 0.025 0.303
O76 0.415 0.525 0.025
O77 0.015 0.826 0.696
Si12 0.022 0.664 0.417
O78 0.732 0.308 0.031
Ti11 0.171 0.672 0.816
O79 0.256 0.867 0.077
O80 0.902 0.965 0.691
Si13 0.023 0.381 0.915
Na9 0.173 0.669 0.165
O81 0.821 0.523 0.638
O82 0.747 0.864 0.358
O83 0.986 0.801 0.086
O84 0.649 0.837 0.254
Ti12 0.001 0.986 0.358
O85 0.078 0.191 0.693
O86 0.581 0.205 0.693
O87 0.598 0.024 0.586
S8 0.312 0.668 0.918
O88 0.908 0.978 0.408
O89 0.401 0.960 0.693
Na10 0.998 0.999 0.495
O90 0.082 0.470 0.254
O91 0.751 0.354 0.426
O92 0.186 0.509 0.358
O93 0.989 0.173 0.587
O94 0.320 0.507 0.922
O95 0.183 0.865 0.857
O96 0.765 0.830 0.474
O97 0.344 0.537 0.529
O98 0.156 0.480 0.474
O99 0.344 0.162 0.746
S9 0.334 0.627 0.583
Si14 0.812 0.951 0.415
O100 0.925 0.312 0.531
Na11 0.175 0.668 0.667
O101 0.237 0.112 0.638
Ti13 0.668 0.662 0.316
O102 0.320 0.133 0.425
Si15 0.498 0.290 0.250
O103 0.736 0.110 0.639
S10 0.522 0.379 0.917
O104 0.678 0.492 0.074
O105 0.588 0.477 0.254
S11 0.333 0.045 0.084
O106 0.320 0.124 0.138
O107 0.411 0.305 0.243
S12 0.999 0.716 0.750
O108 0.925 0.363 0.927
Si16 0.662 0.954 0.916
O109 0.487 0.160 0.307
O110 0.916 0.804 0.588
Na12 0.190 0.010 0.751
S13 0.686 0.039 0.583
Si17 0.165 0.375 0.415
O111 0.989 0.184 0.304
Na13 0.997 0.641 0.250
O112 0.574 0.642 0.075
O113 0.270 0.845 0.471
Ti14 0.833 0.323 0.974
O114 0.099 0.031 0.309
O115 0.648 0.480 0.760
S14 0.834 0.625 0.583
S15 0.001 0.285 0.250
O116 0.682 0.867 0.858
O117 0.819 0.503 0.926
O118 0.232 0.301 0.026
O119 0.231 0.152 0.530
O120 0.237 0.301 0.745
O121 0.154 0.821 0.258
Na14 0.830 0.336 0.830
Ti15 0.502 0.013 0.357
Ti16 0.505 0.000 0.849
O122 0.257 0.639 0.863
Ti17 0.500 0.004 0.654
O123 0.755 0.648 0.577
O124 0.243 0.176 0.242
Na15 0.833 0.330 0.334
S16 0.480 0.334 0.583
Na16 0.687 0.376 0.251
O125 0.097 0.018 0.588
O126 0.820 0.145 0.428
Na17 0.501 0.996 0.998
O127 0.514 0.203 0.914
O128 0.068 0.647 0.076
Ti18 0.831 0.329 0.472
O129 0.684 0.494 0.356
O130 0.082 0.961 0.194
O131 0.569 0.492 0.577
Na18 0.005 0.006 0.000
O132 0.418 0.515 0.746
S17 0.309 0.954 0.417
O133 0.157 0.830 0.975
O134 0.567 0.629 0.357
O135 0.600 0.163 0.808
O136 0.015 0.209 0.196
O137 0.086 0.694 0.475
Ti19 0.161 0.656 0.516
S18 0.187 0.039 0.583
Ti20 0.657 0.672 0.020
O138 0.921 0.810 0.306
Ti21 0.009 0.024 0.857
O139 0.599 0.172 0.087
O140 0.676 0.859 0.577
O141 0.082 0.702 0.754
Si18 0.168 0.958 0.918
O142 0.924 0.536 0.744
O143 0.924 0.314 0.244
O144 0.088 0.160 0.093

[4]
# Y4AlGe8 PBE optimized geometry
# **Spin magnetization**: 0.000 μB/f.u.
# **Space-group type**: Pmm2
data_Y4AlGe8
_symmetry_space_group_name_H-M 'P 1'
_symmetry_Int_Tables_number 1
_symmetry_space_group_name_Hall 'P 1'
_cell_length_a 4.047
_cell_length_b 4.171
_cell_length_c 16.374
_cell_angle_alpha 90.00
_cell_angle_beta 90.00
_cell_angle_gamma 90.00
loop_
_atom_site_label
_atom_site_fract_x
_atom_site_fract_y
_atom_site_fract_z
Y1 0.750 0.500 0.397
Ge1 0.250 0.000 0.747
Ge2 0.250 0.500 0.942
Ge3 0.250 0.000 0.469
Y2 0.250 0.500 0.609
Y3 0.250 0.000 0.092
Ge4 0.250 0.500 0.232
Ge5 0.750 0.500 0.043
Ge6 0.750 0.000 0.230
Al1 0.250 0.000 0.322
Ge7 0.750 0.000 0.570
Y4 0.750 0.000 0.892
Ge8 0.750 0.500 0.753

Number 1: energy of formation -2.432 eV/atom. Number 2: energy of formation -0.031 eV/atom. Number 3: energy of formation -2.701 eV/atom. Number 4: energy of formation -0.549 eV/atom.